Entry 1:
Compound: TbMnSi
Source: the Materials Project database
Functional: r2SCAN
Structure: relaxed

- Final energy: -113.20 eV for the cell shown
- Space-group type: No. 129

```
TbMnSi
1.0
3.908 0.000 0.000
0.000 3.908 0.000
0.000 0.000 7.308
Tb Mn Si
2 2 2
direct
0.250 0.250 0.166
0.750 0.750 0.834
0.250 0.750 0.500
0.750 0.250 0.500
0.250 0.250 0.703
0.750 0.750 0.297
```

Entry 2:
Compound: PdSe8Cl2
Source: the Materials Project database
Functional: r2SCAN
Structure: relaxed

- Final energy: -607.94 eV for the cell shown
- Space-group type: No. 61

```
PdSe8Cl2
1.0
9.095 0.000 0.000
0.000 14.046 0.000
0.000 0.000 9.934
Pd Se Cl
4 32 8
direct
0.000 0.000 0.000
0.000 0.500 0.500
0.500 0.000 0.500
0.500 0.500 0.000
0.081 0.124 0.379
0.081 0.376 0.879
0.090 0.221 0.192
0.090 0.279 0.692
0.127 0.528 0.155
0.127 0.972 0.655
0.199 0.114 0.027
0.199 0.386 0.527
0.301 0.614 0.027
0.301 0.886 0.527
0.373 0.028 0.155
0.373 0.472 0.655
0.410 0.721 0.192
0.410 0.779 0.692
0.419 0.624 0.379
0.419 0.876 0.879
0.581 0.124 0.121
0.581 0.376 0.621
0.590 0.221 0.308
0.590 0.279 0.808
0.627 0.528 0.345
0.627 0.972 0.845
0.699 0.114 0.473
0.699 0.386 0.973
0.801 0.614 0.473
0.801 0.886 0.973
0.873 0.028 0.345
0.873 0.472 0.845
0.910 0.721 0.308
0.910 0.779 0.808
0.919 0.624 0.121
0.919 0.876 0.621
0.094 0.607 0.656
0.094 0.893 0.156
0.406 0.107 0.656
0.406 0.393 0.156
0.594 0.607 0.844
0.594 0.893 0.344
0.906 0.107 0.844
0.906 0.393 0.344
```

Entry 3:
Compound: SrWN3
Source: the Materials Project database
Functional: r2SCAN
Structure: relaxed

- Final energy: -195.88 eV for the cell shown
- Space-group type: No. 12

```
SrWN3
1.0
6.137 -1.911 0.000
6.137 1.911 0.000
-1.574 0.000 6.513
Sr W N
2 2 6
direct
0.117 0.117 0.335
0.883 0.883 0.665
0.348 0.348 0.130
0.652 0.652 0.870
0.179 0.179 0.976
0.346 0.346 0.395
0.497 0.497 0.893
0.503 0.503 0.107
0.654 0.654 0.605
0.821 0.821 0.024
```